VASP calculation (r²SCAN) on crystalline SmB6 at its relaxed geometry.

Computed properties:
Symmetry = No. 221
ΔH_f (0 K) = -0.519 eV per atom
Crystal system = cubic
Total magnetization = 0.00 μB/atom
ρ = 5.140 g/cm³
VASP energy = -11.0631 eV/atom

a = 4.1122 Å, b = 4.1122 Å, c = 4.1122 Å
α = 90.00°, β = 90.00°, γ = 90.00°
Closest atoms and distances in Å follow each position.
Element x y z (fractional)
Sm 0.0000 0.0000 0.0000  24 B 3.02
B 0.1994 0.5000 0.5000  5 B 1.64-1.75
B 0.5000 0.1994 0.5000  5 B 1.64-1.75
B 0.5000 0.5000 0.1994  5 B 1.64-1.75
B 0.5000 0.5000 0.8006  5 B 1.64-1.75
B 0.5000 0.8006 0.5000  5 B 1.64-1.75
B 0.8006 0.5000 0.5000  5 B 1.64-1.75

=====

VASP calculation (r²SCAN) on crystalline SmB12 at its relaxed geometry.

Computed properties:
Symmetry = No. 225
ΔH_f (0 K) = -0.241 eV per atom
Crystal system = cubic
Total magnetization = 0.00 μB/atom
ρ = 4.339 g/cm³
VASP energy = -9.3094 eV/atom

a = 5.3320 Å, b = 5.3320 Å, c = 5.3320 Å
α = 60.00°, β = 60.00°, γ = 60.00°
Closest atoms and distances in Å follow each position.
Element x y z (fractional)
Sm 0.0000 0.0000 0.0000  24 B 2.80
B 0.1627 0.5000 0.5000  5 B 1.73-1.80
B 0.1627 0.5000 0.8373  5 B 1.73-1.80
B 0.1627 0.8373 0.5000  5 B 1.73-1.80
B 0.5000 0.1627 0.5000  5 B 1.73-1.80
B 0.5000 0.1627 0.8373  5 B 1.73-1.80
B 0.5000 0.5000 0.1627  5 B 1.73-1.80
B 0.5000 0.5000 0.8373  5 B 1.73-1.80
B 0.5000 0.8373 0.1627  5 B 1.73-1.80
B 0.5000 0.8373 0.5000  5 B 1.73-1.80
B 0.8373 0.1627 0.5000  5 B 1.73-1.80
B 0.8373 0.5000 0.1627  5 B 1.73-1.80
B 0.8373 0.5000 0.5000  5 B 1.73-1.80

=====

VASP calculation (r²SCAN) on crystalline Sm2B5 at its relaxed geometry.

Computed properties:
Symmetry = No. 14
ΔH_f (0 K) = -0.622 eV per atom
Crystal system = monoclinic
Total magnetization = 0.00 μB/atom
ρ = 6.376 g/cm³
VASP energy = -14.3646 eV/atom

a = 7.2066 Å, b = 7.2227 Å, c = 7.2520 Å
α = 90.00°, β = 101.74°, γ = 90.00°
Closest atoms and distances in Å follow each position.
Element x y z (fractional)
Sm 0.2343 0.1903 0.1323  10 B 2.67-2.94
Sm 0.2343 0.3097 0.6323  10 B 2.67-2.94
Sm 0.2399 0.6834 0.2585  12 B 2.65-2.93
Sm 0.2399 0.8166 0.7585  12 B 2.65-2.93
Sm 0.7601 0.1834 0.2415  12 B 2.65-2.93
Sm 0.7601 0.3166 0.7415  12 B 2.65-2.93
Sm 0.7657 0.6903 0.3677  10 B 2.67-2.94
Sm 0.7657 0.8097 0.8677  10 B 2.67-2.94
B 0.0792 0.5055 0.9322  2 B 1.65-1.68
B 0.0792 0.9945 0.4322  2 B 1.65-1.68
B 0.3168 0.5013 0.9641  5 B 1.68-1.83
B 0.3168 0.9987 0.4641  5 B 1.68-1.83
B 0.4971 0.5387 0.8275  5 B 1.76-1.83
B 0.4971 0.9613 0.3275  5 B 1.76-1.83
B 0.4977 0.1721 0.4605  5 B 1.75-1.82
B 0.4977 0.3279 0.9605  5 B 1.75-1.82
B 0.4990 0.5910 0.5908  3 B 1.75-1.86
B 0.4990 0.9090 0.0908  3 B 1.75-1.86
B 0.5010 0.0910 0.9092  3 B 1.75-1.86
B 0.5010 0.4090 0.4092  3 B 1.75-1.86
B 0.5023 0.6721 0.0395  5 B 1.75-1.82
B 0.5023 0.8279 0.5395  5 B 1.75-1.82
B 0.5029 0.0387 0.6725  5 B 1.76-1.83
B 0.5029 0.4613 0.1725  5 B 1.76-1.83
B 0.6832 0.0013 0.5359  5 B 1.68-1.83
B 0.6832 0.4987 0.0359  5 B 1.68-1.83
B 0.9208 0.0055 0.5678  2 B 1.65-1.68
B 0.9208 0.4945 0.0678  2 B 1.65-1.68

=====

VASP calculation (r²SCAN) on crystalline SmB4 at its relaxed geometry.

Computed properties:
Symmetry = No. 127
ΔH_f (0 K) = -0.656 eV per atom
Crystal system = tetragonal
Total magnetization = 0.00 μB/atom
ρ = 6.108 g/cm³
VASP energy = -12.4792 eV/atom

a = 7.1847 Å, b = 7.1847 Å, c = 4.0786 Å
α = 90.00°, β = 90.00°, γ = 90.00°
Closest atoms and distances in Å follow each position.
Element x y z (fractional)
Sm 0.1829 0.3171 0.0000  16 B 2.76-2.90
Sm 0.3171 0.8171 0.0000  16 B 2.76-2.90
Sm 0.6829 0.1829 0.0000  16 B 2.76-2.90
Sm 0.8171 0.6829 0.0000  16 B 2.76-2.90
B 0.0000 0.0000 0.2041  5 B 1.66-1.76
B 0.0000 0.0000 0.7959  5 B 1.66-1.76
B 0.0386 0.8254 0.5000  5 B 1.74-1.82
B 0.0878 0.5878 0.5000  3 B 1.74-1.78
B 0.1746 0.0386 0.5000  5 B 1.74-1.82
B 0.3254 0.5386 0.5000  5 B 1.74-1.82
B 0.4122 0.0878 0.5000  3 B 1.74-1.78
B 0.4614 0.3254 0.5000  5 B 1.74-1.82
B 0.5000 0.5000 0.2041  5 B 1.66-1.76
B 0.5000 0.5000 0.7959  5 B 1.66-1.76
B 0.5386 0.6746 0.5000  5 B 1.74-1.82
B 0.5878 0.9122 0.5000  3 B 1.74-1.78
B 0.6746 0.4614 0.5000  5 B 1.74-1.82
B 0.8254 0.9614 0.5000  5 B 1.74-1.82
B 0.9122 0.4122 0.5000  3 B 1.74-1.78
B 0.9614 0.1746 0.5000  5 B 1.74-1.82

=====

VASP calculation (r²SCAN) on crystalline SmThB12 at its relaxed geometry.

Computed properties:
Symmetry = No. 225
ΔH_f (0 K) = -0.523 eV per atom
Crystal system = cubic
Total magnetization = 0.00 μB/atom
ρ = 6.129 g/cm³
VASP energy = -14.1916 eV/atom

a = 5.8111 Å, b = 5.8111 Å, c = 5.8111 Å
α = 60.00°, β = 60.00°, γ = 60.00°
Closest atoms and distances in Å follow each position.
Element x y z (fractional)
Sm 0.0000 0.0000 0.0000  24 B 3.02
Th 0.5000 0.5000 0.5000  24 B 3.02
B 0.0991 0.0991 0.4009  5 B 1.63-1.75
B 0.0991 0.4009 0.0991  5 B 1.63-1.75
B 0.0991 0.4009 0.4009  5 B 1.63-1.75
B 0.4009 0.0991 0.0991  5 B 1.63-1.75
B 0.4009 0.0991 0.4009  5 B 1.63-1.75
B 0.4009 0.4009 0.0991  5 B 1.63-1.75
B 0.5991 0.5991 0.9009  5 B 1.63-1.75
B 0.5991 0.9009 0.5991  5 B 1.63-1.75
B 0.5991 0.9009 0.9009  5 B 1.63-1.75
B 0.9009 0.5991 0.5991  5 B 1.63-1.75
B 0.9009 0.5991 0.9009  5 B 1.63-1.75
B 0.9009 0.9009 0.5991  5 B 1.63-1.75

=====

VASP calculation (r²SCAN) on crystalline Ta5B6 at its relaxed geometry.

Computed properties:
Symmetry = No. 65
ΔH_f (0 K) = -0.828 eV per atom
Crystal system = orthorhombic
Total magnetization = 0.00 μB/atom
ρ = 13.723 g/cm³
VASP energy = -26.9220 eV/atom

a = 11.4430 Å, b = 11.4430 Å, c = 3.2870 Å
α = 90.00°, β = 90.00°, γ = 164.18°
Closest atoms and distances in Å follow each position.
Element x y z (fractional)
Ta 0.0000 0.0000 0.0000  12 B 2.45-2.49
Ta 0.1944 0.8056 0.5000  7 B 2.39-2.54
Ta 0.3856 0.6144 0.0000  7 B 2.36-2.55
Ta 0.6144 0.3856 0.0000  7 B 2.36-2.55
Ta 0.8056 0.1944 0.5000  7 B 2.39-2.54
B 0.0825 0.9175 0.5000  2 B 1.85
B 0.2733 0.7267 0.0000  2 B 1.90
B 0.4604 0.5396 0.5000  3 B 1.80-1.85
B 0.5396 0.4604 0.5000  3 B 1.80-1.85
B 0.7267 0.2733 0.0000  2 B 1.90
B 0.9175 0.0825 0.5000  2 B 1.85

=====

VASP calculation (r²SCAN) on crystalline Ta2B at its relaxed geometry.

Computed properties:
Symmetry = No. 140
ΔH_f (0 K) = -0.568 eV per atom
Crystal system = tetragonal
Total magnetization = 0.00 μB/atom
ρ = 15.147 g/cm³
VASP energy = -35.4116 eV/atom

a = 4.7658 Å, b = 4.7658 Å, c = 4.7658 Å
α = 105.11°, β = 105.11°, γ = 118.60°
Closest atoms and distances in Å follow each position.
Element x y z (fractional)
Ta 0.1667 0.6667 0.8334  4 B 2.48, 1 Ta 2.73
Ta 0.3333 0.1667 0.5000  4 B 2.48, 1 Ta 2.73
Ta 0.6667 0.8333 0.5000  4 B 2.48, 1 Ta 2.73
Ta 0.8333 0.3333 0.1666  4 B 2.48, 1 Ta 2.73
B 0.2500 0.2500 0.0000  2 B 2.43, 8 Ta 2.48
B 0.7500 0.7500 0.0000  2 B 2.43, 8 Ta 2.48

=====

VASP calculation (r²SCAN) on crystalline TaB at its relaxed geometry.

Computed properties:
Symmetry = No. 63
ΔH_f (0 K) = -0.864 eV per atom
Crystal system = orthorhombic
Total magnetization = 0.00 μB/atom
ρ = 14.141 g/cm³
VASP energy = -28.8329 eV/atom

a = 4.6464 Å, b = 4.6464 Å, c = 3.1571 Å
α = 90.00°, β = 90.00°, γ = 138.64°
Closest atoms and distances in Å follow each position.
Element x y z (fractional)
Ta 0.1456 0.8544 0.7500  7 B 2.40-2.56
Ta 0.8544 0.1456 0.2500  7 B 2.40-2.56
B 0.4401 0.5599 0.7500  2 B 1.89
B 0.5599 0.4401 0.2500  2 B 1.89

=====

Which of these has the highest ΔH_f (0 K)? SmB12

=====

Repeat the third record exactly.
VASP calculation (r²SCAN) on crystalline Sm2B5 at its relaxed geometry.

Computed properties:
Symmetry = No. 14
ΔH_f (0 K) = -0.622 eV per atom
Crystal system = monoclinic
Total magnetization = 0.00 μB/atom
ρ = 6.376 g/cm³
VASP energy = -14.3646 eV/atom

a = 7.2066 Å, b = 7.2227 Å, c = 7.2520 Å
α = 90.00°, β = 101.74°, γ = 90.00°
Closest atoms and distances in Å follow each position.
Element x y z (fractional)
Sm 0.2343 0.1903 0.1323  10 B 2.67-2.94
Sm 0.2343 0.3097 0.6323  10 B 2.67-2.94
Sm 0.2399 0.6834 0.2585  12 B 2.65-2.93
Sm 0.2399 0.8166 0.7585  12 B 2.65-2.93
Sm 0.7601 0.1834 0.2415  12 B 2.65-2.93
Sm 0.7601 0.3166 0.7415  12 B 2.65-2.93
Sm 0.7657 0.6903 0.3677  10 B 2.67-2.94
Sm 0.7657 0.8097 0.8677  10 B 2.67-2.94
B 0.0792 0.5055 0.9322  2 B 1.65-1.68
B 0.0792 0.9945 0.4322  2 B 1.65-1.68
B 0.3168 0.5013 0.9641  5 B 1.68-1.83
B 0.3168 0.9987 0.4641  5 B 1.68-1.83
B 0.4971 0.5387 0.8275  5 B 1.76-1.83
B 0.4971 0.9613 0.3275  5 B 1.76-1.83
B 0.4977 0.1721 0.4605  5 B 1.75-1.82
B 0.4977 0.3279 0.9605  5 B 1.75-1.82
B 0.4990 0.5910 0.5908  3 B 1.75-1.86
B 0.4990 0.9090 0.0908  3 B 1.75-1.86
B 0.5010 0.0910 0.9092  3 B 1.75-1.86
B 0.5010 0.4090 0.4092  3 B 1.75-1.86
B 0.5023 0.6721 0.0395  5 B 1.75-1.82
B 0.5023 0.8279 0.5395  5 B 1.75-1.82
B 0.5029 0.0387 0.6725  5 B 1.76-1.83
B 0.5029 0.4613 0.1725  5 B 1.76-1.83
B 0.6832 0.0013 0.5359  5 B 1.68-1.83
B 0.6832 0.4987 0.0359  5 B 1.68-1.83
B 0.9208 0.0055 0.5678  2 B 1.65-1.68
B 0.9208 0.4945 0.0678  2 B 1.65-1.68